The following is a PBE calculation of a geometry-optimized Mn4Ga structure, from Materials Project.

Lattice parameters (Å, degrees): 2.562 2.562 10.323 82.87 90.00 120.00
Positions (direct):
Ga: 0.000 0.000 0.000
Mn: 0.201 0.402 0.397
Mn: 0.596 0.192 0.211
Mn: 0.404 0.808 0.789
Mn: 0.799 0.598 0.603

Values from the calculation:
Calculated formation energy: 10 kJ per mole of atoms